Record 1
The following is a DFT calculation (PBE+U) of a relaxed MgCr2Fe2O8 crystal.

abc: 8.8302 5.6147 6.1263
angles: 90.00 96.02 90.00
Space group C2/m (No. 12)
One atom of each set of equivalent atoms:
Mg 0.0000 0.0000 0.0000
Cr 0.1678 0.0000 0.6825
Fe 0.0000 0.5000 0.0000
Fe 0.0000 0.5000 0.5000
O 0.0227 0.2411 0.7506
O 0.2230 0.5000 0.0635
O 0.2250 0.5000 0.5336

Summary:
Formation energy from the elements: -1.710 eV/atom
Excess energy over the best structure of this formula in the dataset: 17 meV/atom

Record 2
The following is a DFT calculation (PBE+U) of a relaxed Li4Ni3Sb5O16 crystal.

abc: 10.6757 6.1858 10.2252
angles: 90.00 90.29 90.00
Space group Cm (No. 8)
One atom of each set of equivalent atoms:
Li 0.0000 0.0000 0.0000
Li 0.0030 0.0000 0.5165
Li 0.1731 0.5000 0.9011
Li 0.3331 0.0000 0.4174
Ni 0.3396 0.5000 0.2283
Ni 0.4266 0.2467 0.7278
Sb 0.0918 0.2519 0.2296
Sb 0.1792 0.0000 0.7305
Sb 0.1865 0.5000 0.5245
Sb 0.3576 0.0000 0.9858
O 0.0107 0.0000 0.3327
O 0.0128 0.5000 0.3326
O 0.0159 0.0000 0.8221
O 0.0957 0.2315 0.6173
O 0.1600 0.0000 0.1211
O 0.1692 0.5000 0.1216
O 0.2437 0.2665 0.3412
O 0.2637 0.2209 0.8518
O 0.3346 0.0000 0.6233
O 0.3510 0.5000 0.6143
O 0.4397 0.2674 0.1154
O 0.4950 0.0000 0.8536

Summary:
Formation energy from the elements: -1.833 eV/atom
Excess energy over the best structure of this formula in the dataset: 11 meV/atom

Record 3
The following is a DFT calculation (PBE+U) of a relaxed Li4Co3O7 crystal.

abc: 12.3781 3.0196 14.2867
angles: 90.00 108.67 90.00
Space group C2/m (No. 12)
One atom of each set of equivalent atoms:
Li 0.0000 0.0000 0.0000
Li 0.0000 0.0000 0.5000
Li 0.0716 0.5000 0.3557
Li 0.1396 0.0000 0.2140
Li 0.2125 0.5000 0.0682
Co 0.0705 0.5000 0.8646
Co 0.1408 0.0000 0.7159
Co 0.2140 0.5000 0.5722
O 0.0084 0.0000 0.7533
O 0.0588 0.5000 0.1122
O 0.0793 0.5000 0.6101
O 0.1367 0.0000 0.9556
O 0.1516 0.0000 0.4670
O 0.2008 0.5000 0.8208
O 0.2236 0.5000 0.3225

Summary:
Formation energy from the elements: -1.652 eV/atom
Excess energy over the best structure of this formula in the dataset: 59 meV/atom

Record 4
The following is a DFT calculation (PBE+U) of a relaxed Sr3NdCo2O8 crystal.

abc: 5.3938 5.4273 12.4888
angles: 90.00 90.00 90.00
Space group Amm2 (No. 38)
One atom of each set of equivalent atoms:
Sr 0.0000 0.0000 0.0000
Sr 0.0000 0.0000 0.2846
Sr 0.5000 0.0000 0.7876
Nd 0.5000 0.0000 0.5061
Co 0.0000 0.0000 0.6448
Co 0.5000 0.0000 0.1452
O 0.0000 0.0000 0.4850
O 0.0000 0.0000 0.7980
O 0.2543 0.2426 0.6396
O 0.5000 0.0000 0.3171
O 0.5000 0.0000 0.9815

Summary:
Formation energy from the elements: -2.522 eV/atom

Which of these has the lowest formation energy from the elements? Sr3NdCo2O8

The highest formation energy from the elements belongs to which entry? Li4Co3O7

What did the third record say?
The following is a DFT calculation (PBE+U) of a relaxed Li4Co3O7 crystal.

abc: 12.3781 3.0196 14.2867
angles: 90.00 108.67 90.00
Space group C2/m (No. 12)
One atom of each set of equivalent atoms:
Li 0.0000 0.0000 0.0000
Li 0.0000 0.0000 0.5000
Li 0.0716 0.5000 0.3557
Li 0.1396 0.0000 0.2140
Li 0.2125 0.5000 0.0682
Co 0.0705 0.5000 0.8646
Co 0.1408 0.0000 0.7159
Co 0.2140 0.5000 0.5722
O 0.0084 0.0000 0.7533
O 0.0588 0.5000 0.1122
O 0.0793 0.5000 0.6101
O 0.1367 0.0000 0.9556
O 0.1516 0.0000 0.4670
O 0.2008 0.5000 0.8208
O 0.2236 0.5000 0.3225

Summary:
Formation energy from the elements: -1.652 eV/atom
Excess energy over the best structure of this formula in the dataset: 59 meV/atom